28
Lattice="-6.399 5.674 -0.258 -2.433 -2.890 7.677 7.147 8.306 5.391" Properties=species:S:1:pos:R:3 comment="r²SCAN Ba3Ge4, optimized geometry" total_energy_ev_per_atom=-19.91 spacegroup="No. 65" pbc="T T T"
Ba 1.150 1.336 0.867
Ba -5.856 1.846 4.919
Ba 0.612 0.680 5.218
Ba 2.119 9.018 3.883
Ba -2.100 4.084 5.457
Ba -2.977 0.938 2.500
Ba -2.197 8.468 3.696
Ba 4.102 4.736 7.851
Ba 5.997 6.970 4.524
Ba 0.414 7.005 7.353
Ba 0.511 2.622 9.114
Ba -1.371 4.962 1.250
Ge -4.589 5.140 7.841
Ge -4.460 -0.768 7.095
Ge -2.976 6.972 7.034
Ge -2.157 5.204 8.672
Ge 2.903 5.950 4.970
Ge -4.372 3.552 0.324
Ge 1.290 4.118 5.776
Ge -2.015 -1.538 5.041
Ge 0.471 5.885 4.138
Ge 0.926 10.325 6.718
Ge -2.612 0.765 6.092
Ge -6.817 4.322 2.378
Ge -4.252 4.306 2.811
Ge -2.442 7.635 9.460
Ge 2.566 6.784 9.999
Ge 0.757 3.455 3.350

12
Lattice="-0.179 4.721 1.648 2.344 0.573 6.211 5.582 3.356 -1.409" Properties=species:S:1:pos:R:3 comment="r²SCAN SiO2, optimized geometry" total_energy_ev_per_atom=-9.93 spacegroup="No. 82" pbc="T T T"
Si 3.585 3.089 -0.581
Si 4.156 5.736 7.092
Si 7.061 4.469 2.878
Si 0.693 4.006 3.512
O 2.816 1.718 -0.241
O 5.008 4.929 5.992
O 6.246 5.799 2.482
O 6.278 3.691 4.055
O 1.424 4.853 4.667
O 1.499 4.183 2.124
O 2.957 1.532 4.782
O 4.940 3.174 0.292